First-principles (PBE) data for a geometry-optimized K2CeI5 structure, as listed in the Materials Project database. Values from VASP.

```
&SYSTEM
  ibrav = 0, nat = 32, ntyp = 3
/
ATOMIC_SPECIES
K 39.10 K.upf
I 126.90 I.upf
Ce 140.12 Ce.upf
ATOMIC_POSITIONS crystal
K 0.5517 0.4956 0.6717
K 0.4483 0.5044 0.3283
K 0.4483 0.9956 0.3283
K 0.0517 0.9956 0.8283
K 0.0517 0.5044 0.8283
K 0.5517 0.0044 0.6717
K 0.9483 0.4956 0.1717
K 0.9483 0.0044 0.1717
I 0.1645 0.2500 0.2943
I 0.4291 0.2500 0.5070
I 0.8347 0.4552 0.4223
I 0.8355 0.7500 0.7057
I 0.3355 0.2500 0.7943
I 0.8347 0.0448 0.4223
I 0.3715 0.7500 0.8188
I 0.6285 0.2500 0.1812
I 0.0709 0.2500 0.0070
I 0.6653 0.4552 0.9223
I 0.1653 0.5448 0.5777
I 0.6653 0.0448 0.9223
I 0.5709 0.7500 0.4930
I 0.8715 0.2500 0.6812
I 0.1653 0.9552 0.5777
I 0.1285 0.7500 0.3188
I 0.3347 0.9552 0.0777
I 0.9291 0.7500 0.9930
I 0.3347 0.5448 0.0777
I 0.6645 0.7500 0.2057
Ce 0.0778 0.2500 0.5052
Ce 0.5778 0.7500 0.9948
Ce 0.9222 0.7500 0.4948
Ce 0.4222 0.2500 0.0052
CELL_PARAMETERS angstrom
-0.3755 8.7977 -3.1220
8.9839 1.7574 3.8720
6.2499 -4.2023 -12.5937
```

* total energy: -3.4129 eV/atom
* crystal system: orthorhombic
* E (MP2020): -3.650 eV/atom
* formation enthalpy at 0 K: -1678 meV/atom

First-principles (PBE) data for a geometry-optimized K3CeI6 structure, as listed in the Materials Project database. Values from VASP.

```
&SYSTEM
  ibrav = 0, nat = 10, ntyp = 3
/
ATOMIC_SPECIES
K 39.10 K.upf
I 126.90 I.upf
Ce 140.12 Ce.upf
ATOMIC_POSITIONS crystal
K 0.2500 0.2500 0.2500
K 0.5000 0.5000 0.5000
K 0.7500 0.7500 0.7500
I 0.2408 0.2408 0.7592
I 0.2408 0.7592 0.7592
I 0.2408 0.7592 0.2408
I 0.7592 0.2408 0.2408
I 0.7592 0.7592 0.2408
I 0.7592 0.2408 0.7592
Ce 0.0000 0.0000 0.0000
CELL_PARAMETERS angstrom
0.0000 6.4712 6.4712
6.4712 0.0000 6.4712
6.4712 6.4712 0.0000
```

* total energy: -3.2055 eV/atom
* crystal system: cubic
* E (MP2020): -3.433 eV/atom
* formation enthalpy at 0 K: -1592 meV/atom